Record 1
DFT (PBE) results for a relaxed structure of KCd13.

Values from the calculation:
For the formation energy, the calculation gives -0.624 eV/f.u. The value obtained for the energy is -27.5 eV for the cell shown. The density is 7.10 g/cm3. The symmetry is No. 226.

a = 9.977 Å, b = 9.977 Å, c = 9.977 Å
α = 60.00°, β = 60.00°, γ = 60.00°
Fractional positions:
K1 0.250 0.250 0.250
K2 0.750 0.750 0.750
Cd1 0.441 0.199 0.801
Cd2 0.941 0.699 0.059
Cd3 0.699 0.941 0.301
Cd4 0.301 0.699 0.941
Cd5 0.941 0.059 0.301
Cd6 0.699 0.059 0.941
Cd7 0.301 0.941 0.059
Cd8 0.801 0.441 0.199
Cd9 0.199 0.801 0.441
Cd10 0.441 0.559 0.199
Cd11 0.441 0.801 0.559
Cd12 0.199 0.559 0.801
Cd13 0.559 0.441 0.801
Cd14 0.559 0.199 0.441
Cd15 0.801 0.199 0.559
Cd16 0.059 0.941 0.699
Cd17 0.059 0.301 0.941
Cd18 0.941 0.301 0.699
Cd19 0.059 0.699 0.301
Cd20 0.301 0.059 0.699
Cd21 0.699 0.301 0.059
Cd22 0.199 0.441 0.559
Cd23 0.801 0.559 0.441
Cd24 0.559 0.801 0.199
Cd25 0.000 0.000 0.000
Cd26 0.500 0.500 0.500

=====

Record 2
DFT (PBE) results for a relaxed structure of K3Cd16.

Values from the calculation:
For the formation energy, the calculation gives -1.879 eV/f.u. The value obtained for the energy is -40.0 eV for the cell shown. The density is 6.10 g/cm3. The symmetry is No. 126.

a = 9.493 Å, b = 9.493 Å, c = 11.573 Å
α = 90.00°, β = 90.00°, γ = 90.00°
Fractional positions:
K1 0.500 0.500 0.500
K2 0.000 0.000 0.000
K3 0.500 0.500 0.162
K4 0.500 0.500 0.838
K5 0.000 0.000 0.338
K6 0.000 0.000 0.662
Cd1 0.155 0.360 0.687
Cd2 0.845 0.640 0.687
Cd3 0.845 0.360 0.313
Cd4 0.155 0.640 0.313
Cd5 0.345 0.140 0.813
Cd6 0.655 0.860 0.813
Cd7 0.655 0.140 0.187
Cd8 0.345 0.860 0.187
Cd9 0.360 0.155 0.313
Cd10 0.640 0.845 0.313
Cd11 0.360 0.845 0.687
Cd12 0.640 0.155 0.687
Cd13 0.140 0.345 0.187
Cd14 0.860 0.655 0.187
Cd15 0.140 0.655 0.813
Cd16 0.860 0.345 0.813
Cd17 0.649 0.855 0.563
Cd18 0.351 0.145 0.563
Cd19 0.351 0.855 0.437
Cd20 0.649 0.145 0.437
Cd21 0.851 0.645 0.937
Cd22 0.149 0.355 0.937
Cd23 0.149 0.645 0.063
Cd24 0.851 0.355 0.063
Cd25 0.855 0.649 0.437
Cd26 0.145 0.351 0.437
Cd27 0.855 0.351 0.563
Cd28 0.145 0.649 0.563
Cd29 0.645 0.851 0.063
Cd30 0.355 0.149 0.063
Cd31 0.645 0.149 0.937
Cd32 0.355 0.851 0.937

=====

Record 3
DFT (PBE) results for a relaxed structure of KMg14Cd.

Values from the calculation:
For the total magnetization, the calculation gives 0.00 μB/atom. For the formation energy, the calculation gives 1.367 eV/f.u. The value obtained for the energy is -23.1 eV for the cell shown. The density is 2.09 g/cm3. The symmetry is No. 187.

a = 6.532 Å, b = 6.532 Å, c = 10.567 Å
α = 90.00°, β = 90.00°, γ = 120.00°
Fractional positions:
K1 0.167 0.333 0.125
Mg1 0.174 0.837 0.125
Mg2 0.164 0.832 0.625
Mg3 0.663 0.326 0.125
Mg4 0.668 0.336 0.625
Mg5 0.663 0.837 0.125
Mg6 0.668 0.832 0.625
Mg7 0.337 0.163 0.388
Mg8 0.337 0.163 0.862
Mg9 0.337 0.675 0.388
Mg10 0.337 0.675 0.862
Mg11 0.825 0.163 0.388
Mg12 0.825 0.163 0.862
Mg13 0.833 0.667 0.370
Mg14 0.833 0.667 0.880
Cd1 0.167 0.333 0.625

=====

Record 4
DFT (PBE) results for a relaxed structure of KMg14Cd.

Values from the calculation:
For the total magnetization, the calculation gives 0.00 μB/atom. For the formation energy, the calculation gives 1.250 eV/f.u. The value obtained for the energy is -23.2 eV for the cell shown. The density is 2.10 g/cm3. The symmetry is No. 38.

a = 6.522 Å, b = 6.514 Å, c = 10.570 Å
α = 90.00°, β = 90.00°, γ = 119.96°
Fractional positions:
K1 0.167 0.333 0.125
Mg1 0.167 0.333 0.625
Mg2 0.166 0.833 0.625
Mg3 0.664 0.325 0.125
Mg4 0.666 0.333 0.625
Mg5 0.664 0.838 0.125
Mg6 0.666 0.833 0.625
Mg7 0.337 0.161 0.386
Mg8 0.337 0.161 0.864
Mg9 0.337 0.676 0.386
Mg10 0.337 0.676 0.864
Mg11 0.824 0.162 0.388
Mg12 0.824 0.162 0.862
Mg13 0.834 0.667 0.370
Mg14 0.834 0.667 0.880
Cd1 0.174 0.837 0.125

=====

Record 5
DFT (PBE) results for a relaxed structure of KCdN.

Values from the calculation:
For the total magnetization, the calculation gives 0.00 μB/atom. For the formation energy, the calculation gives 0.752 eV/f.u. The value obtained for the energy is -18.5 eV for the cell shown. The density is 3.67 g/cm3. The symmetry is No. 36.

a = 9.393 Å, b = 4.619 Å, c = 6.192 Å
α = 47.92°, β = 131.23°, γ = 116.21°
Fractional positions:
K1 0.383 0.597 0.594
K2 0.883 0.403 0.190
Cd1 0.132 0.499 0.891
Cd2 0.632 0.501 0.391
N1 0.382 0.812 0.985
N2 0.882 0.188 0.797

=====

Record 6
DFT (PBE) results for a relaxed structure of KCdN.

Values from the calculation:
For the total magnetization, the calculation gives 0.00 μB/atom. For the formation energy, the calculation gives 1.129 eV/f.u. The value obtained for the energy is -8.9 eV for the cell shown. The density is 3.01 g/cm3. The symmetry is No. 187.

a = 5.123 Å, b = 5.123 Å, c = 4.018 Å
α = 90.00°, β = 90.00°, γ = 120.00°
Fractional positions:
K1 0.000 0.000 0.500
Cd1 0.667 0.333 0.000
N1 0.667 0.333 0.500

=====

Record 7
DFT (PBE) results for a relaxed structure of KCdN.

Values from the calculation:
For the total magnetization, the calculation gives 0.00 μB/atom. For the formation energy, the calculation gives 1.072 eV/f.u. The value obtained for the energy is -35.7 eV for the cell shown. The density is 4.98 g/cm3. The symmetry is No. 62.

a = 7.510 Å, b = 4.260 Å, c = 6.894 Å
α = 90.00°, β = 90.00°, γ = 90.00°
Fractional positions:
K1 0.544 0.250 0.849
K2 0.044 0.250 0.651
K3 0.456 0.750 0.151
K4 0.956 0.750 0.349
Cd1 0.644 0.250 0.414
Cd2 0.144 0.250 0.086
Cd3 0.356 0.750 0.586
Cd4 0.856 0.750 0.914
N1 0.826 0.250 0.112
N2 0.326 0.250 0.388
N3 0.174 0.750 0.888
N4 0.674 0.750 0.612

=====

Record 8
DFT (PBE) results for a relaxed structure of K6Na14Tl18Cd.

Values from the calculation:
For the total magnetization, the calculation gives 0.00 μB/atom. For the formation energy, the calculation gives -4.709 eV/f.u. The value obtained for the energy is -73.3 eV for the cell shown. The density is 5.64 g/cm3. The symmetry is No. 200.

a = 10.856 Å, b = 10.856 Å, c = 10.856 Å
α = 90.00°, β = 90.00°, γ = 90.00°
Fractional positions:
K1 0.188 0.000 0.500
K2 0.812 0.000 0.500
K3 0.500 0.188 0.000
K4 0.500 0.812 0.000
K5 0.000 0.500 0.188
K6 0.000 0.500 0.812
Na1 0.281 0.281 0.281
Na2 0.719 0.719 0.719
Na3 0.719 0.719 0.281
Na4 0.719 0.281 0.719
Na5 0.281 0.281 0.719
Na6 0.281 0.719 0.281
Na7 0.281 0.719 0.719
Na8 0.719 0.281 0.281
Na9 0.330 0.500 0.000
Na10 0.670 0.500 0.000
Na11 0.000 0.330 0.500
Na12 0.000 0.670 0.500
Na13 0.500 0.000 0.330
Na14 0.500 0.000 0.670
Tl1 0.000 0.155 0.254
Tl2 0.000 0.845 0.746
Tl3 0.000 0.845 0.254
Tl4 0.000 0.155 0.746
Tl5 0.254 0.000 0.155
Tl6 0.746 0.000 0.845
Tl7 0.254 0.000 0.845
Tl8 0.746 0.000 0.155
Tl9 0.155 0.254 0.000
Tl10 0.845 0.746 0.000
Tl11 0.155 0.746 0.000
Tl12 0.845 0.254 0.000
Tl13 0.280 0.500 0.500
Tl14 0.720 0.500 0.500
Tl15 0.500 0.280 0.500
Tl16 0.500 0.720 0.500
Tl17 0.500 0.500 0.280
Tl18 0.500 0.500 0.720
Cd1 0.000 0.000 0.000

=====

Record 9
DFT (PBE) results for a relaxed structure of KCdO3.

Values from the calculation:
For the total magnetization, the calculation gives 0.50 μB/atom. For the formation energy, the calculation gives -3.678 eV/f.u. The value obtained for the energy is -18.5 eV for the cell shown. The density is 4.05 g/cm3. The symmetry is No. 221.

a = 4.340 Å, b = 4.340 Å, c = 4.340 Å
α = 90.00°, β = 90.00°, γ = 90.00°
Fractional positions:
K1 0.000 0.000 0.000
Cd1 0.500 0.500 0.500
O1 0.500 0.500 0.000
O2 0.500 0.000 0.500
O3 0.000 0.500 0.500

=====

Record 10
DFT (PBE) results for a relaxed structure of K4CdP6O20.

Values from the calculation:
For the total magnetization, the calculation gives 0.13 μB/atom. For the formation energy, the calculation gives -71.099 eV/f.u. The value obtained for the energy is -194.2 eV for the cell shown. The density is 2.66 g/cm3. The symmetry is No. 2.

a = 7.174 Å, b = 7.792 Å, c = 9.190 Å
α = 102.00°, β = 103.54°, γ = 95.06°
Fractional positions:
K1 0.264 0.253 0.529
K2 0.736 0.747 0.471
K3 0.286 0.497 0.116
K4 0.714 0.503 0.884
Cd1 0.000 0.000 0.000
P1 0.481 0.029 0.227
P2 0.519 0.971 0.773
P3 0.774 0.264 0.507
P4 0.226 0.736 0.493
P5 0.771 0.304 0.195
P6 0.229 0.696 0.805
O1 0.284 0.088 0.189
O2 0.716 0.912 0.811
O3 0.499 0.836 0.204
O4 0.501 0.164 0.796
O5 0.906 0.159 0.594
O6 0.094 0.841 0.406
O7 0.714 0.430 0.584
O8 0.286 0.570 0.416
O9 0.919 0.278 0.102
O10 0.081 0.722 0.898
O11 0.666 0.461 0.192
O12 0.334 0.539 0.808
O13 0.576 0.129 0.407
O14 0.424 0.871 0.593
O15 0.876 0.300 0.371
O16 0.124 0.700 0.629
O17 0.621 0.119 0.141
O18 0.379 0.881 0.859
O19 0.128 0.183 0.867
O20 0.872 0.817 0.133

=====

Record 11
DFT (PBE) results for a relaxed structure of KCd6P7O24.

Values from the calculation:
For the total magnetization, the calculation gives 0.00 μB/atom. For the formation energy, the calculation gives -91.097 eV/f.u. The value obtained for the energy is -475.8 eV for the cell shown. The density is 4.29 g/cm3. The symmetry is No. 11.

a = 27.643 Å, b = 5.591 Å, c = 6.884 Å
α = 72.84°, β = 90.00°, γ = 90.00°
Fractional positions:
K1 0.750 0.281 0.633
K2 0.250 0.719 0.367
Cd1 0.318 0.109 0.706
Cd2 0.457 0.181 0.312
Cd3 0.043 0.181 0.312
Cd4 0.543 0.819 0.688
Cd5 0.818 0.891 0.294
Cd6 0.957 0.819 0.688
Cd7 0.182 0.109 0.706
Cd8 0.682 0.891 0.294
Cd9 0.901 0.216 0.920
Cd10 0.401 0.784 0.080
Cd11 0.099 0.784 0.080
Cd12 0.599 0.216 0.920
P1 0.108 0.672 0.608
P2 0.608 0.328 0.392
P3 0.892 0.328 0.392
P4 0.392 0.672 0.608
P5 0.830 0.757 0.823
P6 0.330 0.243 0.177
P7 0.170 0.243 0.177
P8 0.670 0.757 0.823
P9 0.250 0.525 0.897
P10 0.750 0.475 0.103
P11 0.025 0.291 0.790
P12 0.975 0.709 0.210
P13 0.475 0.291 0.790
P14 0.525 0.709 0.210
O1 0.021 0.139 0.638
O2 0.521 0.861 0.362
O3 0.979 0.861 0.362
O4 0.479 0.139 0.638
O5 0.977 0.410 0.824
O6 0.477 0.590 0.176
O7 0.023 0.590 0.176
O8 0.523 0.410 0.824
O9 0.049 0.137 0.989
O10 0.549 0.863 0.011
O11 0.951 0.863 0.011
O12 0.451 0.137 0.989
O13 0.058 0.535 0.693
O14 0.558 0.465 0.307
O15 0.095 0.848 0.397
O16 0.442 0.535 0.693
O17 0.750 0.198 0.221
O18 0.250 0.802 0.779
O19 0.750 0.656 0.231
O20 0.942 0.465 0.307
O21 0.704 0.519 0.956
O22 0.204 0.481 0.044
O23 0.296 0.481 0.044
O24 0.796 0.519 0.956
O25 0.147 0.486 0.598
O26 0.647 0.514 0.402
O27 0.853 0.514 0.402
O28 0.353 0.486 0.598
O29 0.667 0.943 0.950
O30 0.167 0.057 0.050
O31 0.333 0.057 0.050
O32 0.833 0.943 0.950
O33 0.622 0.623 0.810
O34 0.122 0.377 0.190
O35 0.378 0.377 0.190
O36 0.878 0.623 0.810
O37 0.696 0.867 0.623
O38 0.196 0.133 0.377
O39 0.304 0.133 0.377
O40 0.804 0.867 0.623
O41 0.121 0.826 0.755
O42 0.621 0.174 0.245
O43 0.879 0.174 0.245
O44 0.379 0.826 0.755
O45 0.405 0.848 0.397
O46 0.905 0.152 0.603
O47 0.595 0.152 0.603
O48 0.250 0.344 0.769

=====

Record 12
DFT (PBE) results for a relaxed structure of K2Cd2S3O12.

Values from the calculation:
For the total magnetization, the calculation gives 0.00 μB/atom. For the formation energy, the calculation gives -38.177 eV/f.u. The value obtained for the energy is -423.1 eV for the cell shown. The density is 3.46 g/cm3. The symmetry is No. 19.

a = 10.379 Å, b = 10.418 Å, c = 10.483 Å
α = 90.00°, β = 90.00°, γ = 90.00°
Fractional positions:
K1 0.420 0.556 0.063
K2 0.080 0.444 0.563
K3 0.786 0.313 0.189
K4 0.920 0.944 0.937
K5 0.714 0.687 0.689
K6 0.286 0.187 0.811
K7 0.214 0.813 0.311
K8 0.580 0.056 0.437
Cd1 0.445 0.416 0.407
Cd2 0.555 0.916 0.093
Cd3 0.945 0.084 0.593
Cd4 0.055 0.584 0.907
Cd5 0.354 0.824 0.663
Cd6 0.854 0.676 0.337
Cd7 0.146 0.176 0.163
Cd8 0.646 0.324 0.837
S1 0.748 0.619 0.033
S2 0.252 0.119 0.467
S3 0.248 0.881 0.967
S4 0.752 0.381 0.533
S5 0.135 0.497 0.240
S6 0.865 0.997 0.260
S7 0.635 0.003 0.760
S8 0.365 0.503 0.740
S9 0.965 0.276 0.879
S10 0.535 0.724 0.379
S11 0.465 0.224 0.121
S12 0.035 0.776 0.621
O1 0.852 0.674 0.950
O2 0.148 0.174 0.550
O3 0.352 0.826 0.050
O4 0.648 0.326 0.450
O5 0.684 0.509 0.968
O6 0.316 0.009 0.532
O7 0.184 0.991 0.032
O8 0.816 0.491 0.468
O9 0.650 0.718 0.060
O10 0.350 0.218 0.440
O11 0.150 0.782 0.940
O12 0.850 0.282 0.560
O13 0.807 0.570 0.154
O14 0.193 0.070 0.346
O15 0.307 0.930 0.846
O16 0.693 0.430 0.654
O17 0.076 0.368 0.257
O18 0.924 0.868 0.243
O19 0.059 0.592 0.316
O20 0.576 0.132 0.743
O21 0.270 0.500 0.290
O22 0.730 0.000 0.210
O23 0.770 0.000 0.710
O24 0.230 0.500 0.790
O25 0.142 0.537 0.103
O26 0.858 0.037 0.397
O27 0.642 0.963 0.897
O28 0.358 0.463 0.603
O29 0.445 0.720 0.489
O30 0.555 0.220 0.011
O31 0.945 0.780 0.511
O32 0.055 0.280 0.989
O33 0.668 0.755 0.424
O34 0.332 0.255 0.076
O35 0.168 0.745 0.576
O36 0.832 0.245 0.924
O37 0.490 0.825 0.289
O38 0.510 0.325 0.211
O39 0.990 0.675 0.711
O40 0.010 0.175 0.789
O41 0.535 0.595 0.316
O42 0.465 0.095 0.184
O43 0.035 0.905 0.684
O44 0.965 0.405 0.816
O45 0.441 0.408 0.816
O46 0.559 0.908 0.684
O47 0.941 0.092 0.184
O48 0.424 0.632 0.757